A plane-wave DFT calculation with GGA-PBE was carried out for an optimized crystal structure of Sr3LaTaAl3O12.

a = 7.757 Å, b = 7.757 Å, c = 3.918 Å
α = 90.00°, β = 90.00°, γ = 90.22°
Positions (direct):
O  0.005  0.504  0.000
O  0.496  0.995  0.000
O  0.749  0.501  0.500
La  0.265  0.735  0.000
Al  0.998  0.500  0.500
Sr  0.262  0.261  0.000
O  0.005  0.746  0.500
Sr  0.739  0.738  0.000
O  0.499  0.251  0.500
O  0.745  0.998  0.500
O  0.002  0.255  0.500
O  0.254  0.995  0.500
O  0.495  0.505  0.000
O  0.250  0.508  0.500
Sr  0.737  0.263  0.000
Al  0.500  0.002  0.500
O  0.492  0.750  0.500
Ta  0.998  0.002  0.500
Al  0.503  0.497  0.500
O  0.003  0.997  0.000

Calculated values
calculated formation energy	-3.404	eV/atom
magnetization	0.00	μB per cell
energy above the lowest structure with this stoichiometry	12	meV/atom

---

A plane-wave DFT calculation with GGA-PBE was carried out for an optimized crystal structure of LaTi2Al9O19.

a = 9.808 Å, b = 11.083 Å, c = 12.671 Å
α = 115.93°, β = 97.59°, γ = 90.00°
Positions (direct):
O  0.195  0.805  0.101
O  0.451  0.601  0.708
Ti  0.370  0.933  0.623
O  0.262  0.751  0.491
Al  0.414  0.095  0.943
O  0.453  0.106  0.711
La  0.066  0.320  0.893
Ti  0.870  0.690  0.623
Al  0.407  0.433  0.390
Al  0.387  0.765  0.795
O  0.918  0.173  0.104
O  0.198  0.968  0.694
O  0.506  0.603  0.477
O  0.167  0.308  0.086
O  0.806  0.530  0.312
O  0.695  0.297  0.101
O  0.581  0.327  0.896
Al  0.750  0.384  0.000
O  0.006  0.874  0.477
O  0.698  0.726  0.694
O  0.919  0.432  0.104
O  0.192  0.047  0.105
Al  0.591  0.299  0.606
Al  0.250  0.877  0.000
O  0.052  0.654  0.299
Al  0.086  0.153  0.057
Al  0.366  0.840  0.212
Al  0.593  0.567  0.610
O  0.742  0.510  0.509
Al  0.409  0.701  0.394
O  0.953  0.605  0.711
Al  0.866  0.373  0.212
Al  0.887  0.030  0.795
O  0.258  0.490  0.491
Al  0.367  0.115  0.206
O  0.194  0.470  0.688
O  0.738  0.249  0.509
O  0.802  0.032  0.306
O  0.057  0.074  0.898
O  0.805  0.195  0.899
O  0.758  0.001  0.491
O  0.811  0.771  0.291
O  0.333  0.222  0.914
O  0.334  0.456  0.914
Ti  0.368  0.285  0.797
La  0.566  0.573  0.893
O  0.081  0.568  0.896
Ti  0.632  0.715  0.203
O  0.500  0.865  0.509
Al  0.633  0.885  0.794
O  0.302  0.274  0.306
O  0.834  0.458  0.914
Al  0.250  0.616  0.000
Al  0.656  0.564  0.387
Ti  0.132  0.487  0.203
O  0.308  0.942  0.895
Al  0.180  0.649  0.545
O  0.549  0.399  0.292
O  0.666  0.544  0.086
La  0.934  0.680  0.107
O  0.762  0.741  0.491
O  0.049  0.893  0.292
Al  0.344  0.436  0.613
O  0.419  0.673  0.104
Ti  0.130  0.310  0.377
O  0.952  0.862  0.713
O  0.948  0.346  0.701
Al  0.586  0.905  0.057
O  0.994  0.126  0.523
O  0.582  0.068  0.896
O  0.204  0.727  0.707
O  0.306  0.782  0.312
Al  0.634  0.160  0.788
O  0.047  0.395  0.289
O  0.189  0.229  0.709
Al  0.914  0.847  0.943
O  0.943  0.926  0.102
O  0.448  0.354  0.701
Al  0.091  0.307  0.606
O  0.667  0.778  0.086
Al  0.320  0.103  0.455
Al  0.113  0.970  0.205
O  0.238  0.259  0.509
O  0.048  0.138  0.287
O  0.557  0.824  0.898
O  0.000  0.356  0.491
O  0.547  0.894  0.289
O  0.951  0.107  0.708
O  0.311  0.521  0.291
O  0.552  0.646  0.299
Al  0.907  0.956  0.390
Al  0.133  0.908  0.794
O  0.305  0.703  0.899
O  0.082  0.827  0.896
Al  0.844  0.177  0.613
Al  0.093  0.044  0.610
O  0.694  0.218  0.688
Al  0.867  0.092  0.206
Al  0.750  0.123  0.000
Al  0.680  0.897  0.545
O  0.494  0.397  0.523
Al  0.156  0.823  0.387
O  0.418  0.932  0.104
O  0.692  0.058  0.105
O  0.000  0.644  0.509
O  0.443  0.176  0.102
La  0.434  0.427  0.107
O  0.796  0.273  0.293
O  0.166  0.542  0.086
Al  0.613  0.235  0.205
Al  0.134  0.627  0.788
O  0.548  0.149  0.287
O  0.689  0.479  0.709
Al  0.909  0.693  0.394
O  0.833  0.692  0.914
Ti  0.630  0.067  0.377
O  0.500  0.135  0.491
O  0.808  0.953  0.895
O  0.242  0.999  0.509
Al  0.820  0.351  0.455
O  0.296  0.020  0.293
O  0.704  0.980  0.707
O  0.452  0.851  0.713
Ti  0.868  0.513  0.797

Calculated values
calculated formation energy	-3.496	eV/atom
magnetization	0.00	μB per cell

---

A plane-wave DFT calculation with GGA-PBE was carried out for an optimized crystal structure of LaAl2Pd2.

a = 4.409 Å, b = 4.409 Å, c = 10.211 Å
α = 90.00°, β = 90.00°, γ = 90.00°
Positions (direct):
La  0.500  0.000  0.751
Al  0.500  0.500  0.500
Pd  0.000  0.000  0.000
Pd  0.500  0.500  0.000
Pd  0.000  0.500  0.630
Al  0.500  0.000  0.123
La  0.000  0.500  0.249
Pd  0.500  0.000  0.370
Al  0.000  0.500  0.877
Al  0.000  0.000  0.500

Calculated values
calculated formation energy	-0.873	eV/atom

---

A plane-wave DFT calculation with GGA-PBE was carried out for an optimized crystal structure of LaAl2Pt3.

a = 5.646 Å, b = 5.646 Å, c = 4.003 Å
α = 90.00°, β = 90.00°, γ = 120.00°
Positions (direct):
Pt  0.000  0.500  0.500
Al  0.667  0.333  0.000
Pt  0.500  0.000  0.500
La  0.000  0.000  0.000
Al  0.333  0.667  0.000
Pt  0.500  0.500  0.500

Calculated values
calculated formation energy	-1.103	eV/atom

---

A plane-wave DFT calculation with GGA-PBE was carried out for an optimized crystal structure of La5Al2Ru3.

a = 8.638 Å, b = 8.638 Å, c = 8.638 Å
α = 109.47°, β = 109.47°, γ = 109.47°
Positions (direct):
Al  0.000  0.913  0.500
La  0.250  0.690  0.440
La  0.000  0.289  0.500
Al  0.500  0.000  0.913
La  0.060  0.750  0.810
Al  0.587  0.587  0.587
La  0.289  0.500  0.000
Ru  0.867  0.250  0.117
La  0.690  0.440  0.250
Ru  0.250  0.117  0.867
La  0.211  0.211  0.211
Ru  0.750  0.383  0.633
La  0.750  0.810  0.060
Ru  0.383  0.633  0.750
La  0.440  0.250  0.690
Al  0.913  0.500  0.000
La  0.500  0.000  0.289
Ru  0.633  0.750  0.383
Ru  0.117  0.867  0.250
La  0.810  0.060  0.750

Calculated values
calculated formation energy	-0.455	eV/atom
magnetization	0.00	μB per cell

---

A plane-wave DFT calculation with GGA-PBE was carried out for an optimized crystal structure of LaAl10Ru2.

a = 6.908 Å, b = 6.908 Å, c = 9.238 Å
α = 90.00°, β = 90.00°, γ = 96.87°
Positions (direct):
Al  0.229  0.229  0.000
Al  0.862  0.588  0.750
Al  0.482  0.223  0.250
Al  0.839  0.161  0.399
Al  0.229  0.229  0.500
Al  0.161  0.839  0.899
Al  0.623  0.377  0.548
Al  0.412  0.138  0.750
Al  0.377  0.623  0.048
Al  0.377  0.623  0.452
Ru  0.000  0.500  0.500
Al  0.161  0.839  0.601
La  0.123  0.877  0.250
Al  0.223  0.482  0.750
Al  0.777  0.518  0.250
Ru  0.000  0.500  0.000
Ru  0.500  0.000  0.000
Al  0.771  0.771  0.000
Al  0.518  0.777  0.750
Al  0.771  0.771  0.500
Al  0.839  0.161  0.101
La  0.877  0.123  0.750
Al  0.138  0.412  0.250
Al  0.588  0.862  0.250
Al  0.623  0.377  0.952
Ru  0.500  0.000  0.500

Calculated values
calculated formation energy	-0.522	eV/atom

---

A plane-wave DFT calculation with GGA-PBE was carried out for an optimized crystal structure of La3TiAlS7.

a = 10.412 Å, b = 10.412 Å, c = 5.837 Å
α = 90.00°, β = 90.00°, γ = 120.00°
Positions (direct):
S  0.667  0.333  0.532
S  0.849  0.079  0.250
S  0.230  0.151  0.250
Ti  0.000  0.000  0.999
S  0.151  0.921  0.750
La  0.130  0.373  0.239
La  0.757  0.130  0.739
S  0.591  0.486  0.010
La  0.373  0.243  0.739
S  0.409  0.514  0.510
S  0.770  0.849  0.750
S  0.486  0.895  0.510
Al  0.667  0.333  0.154
Al  0.333  0.667  0.654
S  0.333  0.667  0.032
S  0.895  0.409  0.010
Ti  0.000  0.000  0.499
S  0.514  0.105  0.010
S  0.105  0.591  0.510
La  0.243  0.870  0.239
La  0.627  0.757  0.239
S  0.079  0.230  0.750
S  0.921  0.770  0.250
La  0.870  0.627  0.739

Calculated values
calculated formation energy	-2.132	eV/atom
magnetization	2.96	μB per cell

---

A plane-wave DFT calculation with GGA-PBE was carried out for an optimized crystal structure of La3AlVS7.

a = 10.251 Å, b = 10.251 Å, c = 5.985 Å
α = 90.00°, β = 90.00°, γ = 120.00°
Positions (direct):
La  0.373  0.235  0.728
V  0.000  0.000  0.013
S  0.333  0.667  0.021
S  0.101  0.583  0.506
S  0.916  0.775  0.265
La  0.627  0.765  0.228
S  0.859  0.084  0.265
La  0.139  0.373  0.228
La  0.765  0.139  0.728
S  0.583  0.482  0.006
S  0.417  0.518  0.506
S  0.482  0.899  0.506
S  0.667  0.333  0.521
S  0.084  0.225  0.765
La  0.861  0.627  0.728
S  0.518  0.101  0.006
Al  0.667  0.333  0.150
Al  0.333  0.667  0.650
S  0.225  0.141  0.265
V  0.000  0.000  0.513
S  0.141  0.916  0.765
La  0.235  0.861  0.228
S  0.899  0.417  0.006
S  0.775  0.859  0.765

Calculated values
calculated formation energy	-2.071	eV/atom
magnetization	4.79	μB per cell